The following is a GGA-PBE calculation of a relaxed structure of Mo6PbI14, from Materials Project.

Unit cell a=14.8501 b=14.8501 c=14.8501 alpha=90.00 beta=90.00 gamma=90.00
With the nearest neighbours (Å) after each atom.
Atoms (fractional coordinates):
I (0.3833, 0.3833, 0.6167)  3 Mo 2.80
Mo (0.2816, 0.3718, 0.7752)  4 Mo 2.69-2.70, 5 I 2.79-2.91
I (0.3692, 0.0650, 0.8168)  3 Mo 2.79
I (0.6820, 0.1671, 0.9440)  1 Mo 2.91
I (0.4440, 0.1820, 0.3329)  1 Mo 2.91
I (0.5560, 0.8180, 0.3329)  1 Mo 2.91
Mo (0.2816, 0.6282, 0.2248)  4 Mo 2.69-2.70, 5 I 2.79-2.91
Mo (0.7248, 0.2184, 0.1282)  4 Mo 2.69-2.70, 5 I 2.79-2.91
I (0.3692, 0.9350, 0.1832)  3 Mo 2.79
I (0.3168, 0.8692, 0.4350)  3 Mo 2.79
I (0.4350, 0.6832, 0.1308)  3 Mo 2.79
I (0.5650, 0.3168, 0.1308)  3 Mo 2.79
Mo (0.1282, 0.7248, 0.2184)  4 Mo 2.69-2.70, 5 I 2.79-2.91
I (0.1167, 0.1167, 0.8833)  3 Mo 2.80
I (0.1308, 0.4350, 0.6832)  3 Mo 2.79
I (0.6308, 0.9350, 0.8168)  3 Mo 2.79
I (0.0560, 0.6820, 0.8329)  1 Mo 2.91
I (0.1832, 0.6308, 0.0650)  3 Mo 2.79
I (0.9440, 0.6820, 0.1671)  1 Mo 2.91
I (0.8168, 0.3692, 0.0650)  3 Mo 2.79
I (0.3329, 0.4440, 0.1820)  1 Mo 2.91
I (0.3833, 0.6167, 0.3833)  3 Mo 2.80
I (0.6832, 0.1308, 0.4350)  3 Mo 2.79
I (0.6671, 0.4440, 0.8180)  1 Mo 2.91
Pb (0.7500, 0.2500, 0.7500)  6 I 3.29
Pb (0.7500, 0.7500, 0.2500)  6 I 3.29
I (0.0560, 0.3180, 0.1671)  1 Mo 2.91
I (0.8168, 0.6308, 0.9350)  3 Mo 2.79
I (0.3180, 0.8329, 0.9440)  1 Mo 2.91
I (0.3168, 0.1308, 0.5650)  3 Mo 2.79
I (0.9440, 0.3180, 0.8329)  1 Mo 2.91
Mo (0.2248, 0.2816, 0.6282)  4 Mo 2.69-2.70, 5 I 2.79-2.91
I (0.6671, 0.5560, 0.1820)  1 Mo 2.91
I (0.9350, 0.1832, 0.3692)  3 Mo 2.79
I (0.8329, 0.9440, 0.3180)  1 Mo 2.91
I (0.5560, 0.1820, 0.6671)  1 Mo 2.91
I (0.6820, 0.8329, 0.0560)  1 Mo 2.91
Mo (0.2752, 0.7816, 0.1282)  4 Mo 2.69-2.70, 5 I 2.79-2.91
Mo (0.6282, 0.7752, 0.7184)  4 Mo 2.69-2.70, 5 I 2.79-2.91
I (0.1167, 0.8833, 0.1167)  3 Mo 2.80
Mo (0.7752, 0.7184, 0.6282)  4 Mo 2.69-2.70, 5 I 2.79-2.91
I (0.1671, 0.0560, 0.3180)  1 Mo 2.91
Mo (0.6282, 0.2248, 0.2816)  4 Mo 2.69-2.70, 5 I 2.79-2.91
Mo (0.8718, 0.7248, 0.7816)  4 Mo 2.69-2.70, 5 I 2.79-2.91
I (0.8692, 0.5650, 0.6832)  3 Mo 2.79
I (0.3180, 0.1671, 0.0560)  1 Mo 2.91
I (0.1820, 0.6671, 0.5560)  1 Mo 2.91
I (0.1671, 0.9440, 0.6820)  1 Mo 2.91
Mo (0.1282, 0.2752, 0.7816)  4 Mo 2.69-2.70, 5 I 2.79-2.91
I (0.8833, 0.1167, 0.1167)  3 Mo 2.80
Mo (0.7184, 0.6282, 0.7752)  4 Mo 2.69-2.70, 5 I 2.79-2.91
I (0.6832, 0.8692, 0.5650)  3 Mo 2.79
I (0.6308, 0.0650, 0.1832)  3 Mo 2.79
I (0.1308, 0.5650, 0.3168)  3 Mo 2.79
I (0.6167, 0.3833, 0.3833)  3 Mo 2.80
Mo (0.7184, 0.3718, 0.2248)  4 Mo 2.69-2.70, 5 I 2.79-2.91
Mo (0.2752, 0.2184, 0.8718)  4 Mo 2.69-2.70, 5 I 2.79-2.91
I (0.1832, 0.3692, 0.9350)  3 Mo 2.79
Mo (0.7752, 0.2816, 0.3718)  4 Mo 2.69-2.70, 5 I 2.79-2.91
Mo (0.7816, 0.8718, 0.7248)  4 Mo 2.69-2.70, 5 I 2.79-2.91
I (0.5650, 0.6832, 0.8692)  3 Mo 2.79
Mo (0.7248, 0.7816, 0.8718)  4 Mo 2.69-2.70, 5 I 2.79-2.91
I (0.9350, 0.8168, 0.6308)  3 Mo 2.79
Pb (0.2500, 0.2500, 0.2500)  6 I 3.29
I (0.8180, 0.3329, 0.5560)  1 Mo 2.91
I (0.0650, 0.1832, 0.6308)  3 Mo 2.79
Mo (0.8718, 0.2752, 0.2184)  4 Mo 2.69-2.70, 5 I 2.79-2.91
Mo (0.3718, 0.2248, 0.7184)  4 Mo 2.69-2.70, 5 I 2.79-2.91
Pb (0.2500, 0.7500, 0.7500)  6 I 3.29
I (0.3329, 0.5560, 0.8180)  1 Mo 2.91
I (0.4350, 0.3168, 0.8692)  3 Mo 2.79
I (0.8692, 0.4350, 0.3168)  3 Mo 2.79
Mo (0.2248, 0.7184, 0.3718)  4 Mo 2.69-2.70, 5 I 2.79-2.91
I (0.8329, 0.0560, 0.6820)  1 Mo 2.91
I (0.6167, 0.6167, 0.6167)  3 Mo 2.80
I (0.8833, 0.8833, 0.8833)  3 Mo 2.80
I (0.4440, 0.8180, 0.6671)  1 Mo 2.91
Mo (0.2184, 0.8718, 0.2752)  4 Mo 2.69-2.70, 5 I 2.79-2.91
I (0.8180, 0.6671, 0.4440)  1 Mo 2.91
Mo (0.3718, 0.7752, 0.2816)  4 Mo 2.69-2.70, 5 I 2.79-2.91
I (0.1820, 0.3329, 0.4440)  1 Mo 2.91
I (0.0650, 0.8168, 0.3692)  3 Mo 2.79
Mo (0.2184, 0.1282, 0.7248)  4 Mo 2.69-2.70, 5 I 2.79-2.91
Mo (0.7816, 0.1282, 0.2752)  4 Mo 2.69-2.70, 5 I 2.79-2.91

Summary:
Total moment, μB/atom: 0.00
E_tot, eV per atom: -4.7271
ΔE_f, eV per atom: -0.69

---

The following is a GGA-PBE calculation of a relaxed structure of MoS2I2, from Materials Project.

Unit cell a=6.8870 b=6.8870 c=8.0392 alpha=76.78 beta=76.78 gamma=113.92
With the nearest neighbours (Å) after each atom.
Atoms (fractional coordinates):
Mo (0.8787, 0.1213, 0.0000)  4 S 2.43-2.44
I (0.9567, 0.5534, 0.7777)  2 Mo 2.86-3.19
Mo (0.1213, 0.8787, 0.0000)  4 S 2.43-2.44
I (0.0433, 0.4466, 0.2223)  2 Mo 2.86-3.19
S (0.2897, 0.2897, 0.8696)  1 S 2.04
S (0.7103, 0.7103, 0.1304)  1 S 2.04
S (0.8799, 0.8799, 0.2735)  1 S 2.04
I (0.4466, 0.0433, 0.2223)  2 Mo 2.86-3.19
S (0.1201, 0.1201, 0.7265)  1 S 2.04
I (0.5534, 0.9567, 0.7777)  2 Mo 2.86-3.19

Summary:
Total moment, μB/atom: 0.20
E_tot, eV per atom: -4.6812
ΔE_f, eV per atom: -0.60

---

The following is a GGA-PBE calculation of a relaxed structure of TeMo3Se7I6, from Materials Project.

Unit cell a=13.2732 b=11.2270 c=18.5548 alpha=67.19 beta=90.00 gamma=90.00
With the nearest neighbours (Å) after each atom.
Atoms (fractional coordinates):
Mo (0.8472, 0.0969, 0.7761)  5 Se 2.51-2.63, 2 Mo 2.77-2.80
Se (0.3449, 0.8159, 0.6140)  1 Se 2.38, 2 Mo 2.57-2.58
Se (0.2346, 0.0977, 0.2483)  1 Se 2.37, 2 Mo 2.63
Se (0.8449, 0.1841, 0.8860)  1 Se 2.38, 2 Mo 2.57-2.58
I (0.3141, 0.5090, 0.1629)  1 Mo 2.91, 1 Te 3.08
I (0.7826, 0.9856, 0.5221)  3 Se 3.13-3.15
Se (0.2487, 0.0890, 0.6232)  1 Se 2.37, 2 Mo 2.56
Mo (0.1528, 0.9031, 0.2239)  5 Se 2.51-2.63, 2 Mo 2.77-2.80
Se (0.6551, 0.1841, 0.3860)  1 Se 2.38, 2 Mo 2.57-2.58
I (0.9755, 0.0495, 0.1420)  2 Mo 2.88-2.93
Se (0.9714, 0.2758, 0.2474)  1 Se 2.38, 2 Mo 2.62-2.63
Se (0.0827, 0.6773, 0.2347)  1 Se 2.38, 2 Mo 2.63
I (0.9260, 0.5850, 0.0572)  1 Te 2.79
I (0.1859, 0.5090, 0.6629)  1 Mo 2.91, 1 Te 3.08
Mo (0.2203, 0.7054, 0.7261)  5 Se 2.51-2.63, 2 Mo 2.77-2.78
Se (0.4173, 0.6773, 0.7347)  1 Se 2.38, 2 Mo 2.63
Mo (0.2797, 0.7054, 0.2261)  5 Se 2.51-2.63, 2 Mo 2.77-2.78
Se (0.7487, 0.9110, 0.8768)  1 Se 2.37, 2 Mo 2.56
Se (0.2654, 0.0977, 0.7483)  1 Se 2.37, 2 Mo 2.63
Se (0.9173, 0.3227, 0.7653)  1 Se 2.38, 2 Mo 2.63
Mo (0.6528, 0.0969, 0.2761)  5 Se 2.51-2.63, 2 Mo 2.77-2.80
Mo (0.8614, 0.0697, 0.2688)  5 Se 2.50-2.63, 2 Mo 2.78-2.80
I (0.0740, 0.4150, 0.9428)  1 Te 2.79
Se (0.7654, 0.9023, 0.7517)  1 Se 2.37, 2 Mo 2.63
Se (0.9072, 0.1549, 0.3748)  1 Se 2.38, 2 Mo 2.56-2.57
Se (0.1551, 0.8159, 0.1140)  1 Se 2.38, 2 Mo 2.57-2.58
Se (0.4072, 0.8451, 0.1252)  1 Se 2.38, 2 Mo 2.56-2.57
Mo (0.3472, 0.9031, 0.7239)  5 Se 2.51-2.63, 2 Mo 2.77-2.80
Mo (0.1386, 0.9303, 0.7312)  5 Se 2.50-2.63, 2 Mo 2.78-2.80
Te (0.7690, 0.5510, 0.1637)  3 I 2.79-3.08, 1 Mo 2.81
Se (0.5286, 0.2758, 0.7474)  1 Se 2.38, 2 Mo 2.62-2.63
Se (0.7589, 0.2279, 0.1606)  3 Mo 2.50-2.51
I (0.4260, 0.4150, 0.4428)  1 Te 2.79
I (0.8141, 0.4910, 0.3371)  1 Mo 2.91, 1 Te 3.08
Se (0.2411, 0.7721, 0.8394)  3 Mo 2.50-2.51
Se (0.7346, 0.9023, 0.2517)  1 Se 2.37, 2 Mo 2.63
I (0.5740, 0.5850, 0.5572)  1 Te 2.79
I (0.7174, 0.9856, 0.0221)  3 Se 3.13-3.15
I (0.4755, 0.9505, 0.3580)  2 Mo 2.88-2.93
I (0.0245, 0.9505, 0.8580)  2 Mo 2.88-2.93
I (0.9856, 0.1211, 0.6539)  2 Mo 2.85-2.90
Te (0.7310, 0.5510, 0.6637)  3 I 2.79-3.08, 1 Mo 2.81
I (0.6078, 0.5585, 0.0611)  1 Te 2.84
I (0.3922, 0.4415, 0.9389)  1 Te 2.84
Te (0.2310, 0.4490, 0.8363)  3 I 2.79-3.08, 1 Mo 2.81
Se (0.2589, 0.7721, 0.3394)  3 Mo 2.50-2.51
I (0.5144, 0.1211, 0.1539)  2 Mo 2.85-2.90
I (0.6859, 0.4910, 0.8371)  1 Mo 2.91, 1 Te 3.08
Mo (0.7797, 0.2946, 0.2739)  5 Se 2.51-2.63, 2 Mo 2.77-2.78
Se (0.0286, 0.7242, 0.7526)  1 Se 2.38, 2 Mo 2.62-2.63
Se (0.7513, 0.9110, 0.3768)  1 Se 2.37, 2 Mo 2.56
Se (0.0928, 0.8451, 0.6252)  1 Se 2.38, 2 Mo 2.56-2.57
Mo (0.6386, 0.0697, 0.7688)  5 Se 2.50-2.63, 2 Mo 2.78-2.80
Se (0.4714, 0.7242, 0.2526)  1 Se 2.38, 2 Mo 2.62-2.63
I (0.5245, 0.0495, 0.6420)  2 Mo 2.88-2.93
I (0.4856, 0.8789, 0.8461)  2 Mo 2.85-2.90
Te (0.2690, 0.4490, 0.3363)  3 I 2.79-3.08, 1 Mo 2.81
Mo (0.7203, 0.2946, 0.7739)  5 Se 2.51-2.63, 2 Mo 2.77-2.78
Mo (0.3614, 0.9303, 0.2312)  5 Se 2.50-2.63, 2 Mo 2.78-2.80
Se (0.7411, 0.2279, 0.6606)  3 Mo 2.50-2.51
I (0.1078, 0.4415, 0.4389)  1 Te 2.84
I (0.8922, 0.5585, 0.5611)  1 Te 2.84
I (0.2174, 0.0144, 0.4779)  3 Se 3.13-3.15
I (0.0144, 0.8789, 0.3461)  2 Mo 2.85-2.90
Se (0.2513, 0.0890, 0.1232)  1 Se 2.37, 2 Mo 2.56
I (0.2826, 0.0144, 0.9779)  3 Se 3.13-3.15
Se (0.5928, 0.1549, 0.8748)  1 Se 2.38, 2 Mo 2.56-2.57
Se (0.5827, 0.3227, 0.2653)  1 Se 2.38, 2 Mo 2.63

Summary:
Total moment, μB/atom: 0.00
E_tot, eV per atom: -4.4654
ΔE_f, eV per atom: -0.52

---

Repeat the second record exactly.
The following is a GGA-PBE calculation of a relaxed structure of MoS2I2, from Materials Project.

Unit cell a=6.8870 b=6.8870 c=8.0392 alpha=76.78 beta=76.78 gamma=113.92
With the nearest neighbours (Å) after each atom.
Atoms (fractional coordinates):
Mo (0.8787, 0.1213, 0.0000)  4 S 2.43-2.44
I (0.9567, 0.5534, 0.7777)  2 Mo 2.86-3.19
Mo (0.1213, 0.8787, 0.0000)  4 S 2.43-2.44
I (0.0433, 0.4466, 0.2223)  2 Mo 2.86-3.19
S (0.2897, 0.2897, 0.8696)  1 S 2.04
S (0.7103, 0.7103, 0.1304)  1 S 2.04
S (0.8799, 0.8799, 0.2735)  1 S 2.04
I (0.4466, 0.0433, 0.2223)  2 Mo 2.86-3.19
S (0.1201, 0.1201, 0.7265)  1 S 2.04
I (0.5534, 0.9567, 0.7777)  2 Mo 2.86-3.19

Summary:
Total moment, μB/atom: 0.20
E_tot, eV per atom: -4.6812
ΔE_f, eV per atom: -0.60